Record 1
Compound: KSrTbBiO6
Source: the Materials Project
Functional: PBE-GGA
Structure: optimized geometry

The formation energy comes out at -2.3596 eV/atom. For the energy above the lowest structure with this stoichiometry, the calculation gives 23 meV per atom. For the total energy, the calculation gives -241.95 eV per cell. The volume comes out at 655.9 Å³ per cell.

Cell: 8.6884 8.6884 8.6884 Å, 90.00 90.00 90.00°
With the nearest neighbours (Å) after each atom.
Space group F-43m (No. 216)
One atom of each set of equivalent atoms:
K1 0.0000 0.0000 0.0000 [4 per cell]  12 O 3.07
Sr1 0.0000 0.0000 0.5000 [4 per cell]  12 O 3.07
Tb1 0.2500 0.2500 0.7500 [4 per cell]  6 O 2.23
Bi1 0.2500 0.2500 0.2500 [4 per cell]  6 O 2.11
O1 0.0067 0.2500 0.2500 [24 per cell]  1 Bi 2.11, 1 Tb 2.23

Record 2
Compound: Ce4YO9
Source: the Materials Project
Functional: PBE-GGA
Structure: optimized geometry

The formation energy comes out at -3.9122 eV/atom. For the total energy, the calculation gives -246.64 eV per cell. The volume comes out at 412.9 Å³ per cell.

Cell: 3.8215 19.5554 5.5249 Å, 90.00 90.00 90.00°
With the nearest neighbours (Å) after each atom.
Space group Imm2 (No. 44)
One atom of each set of equivalent atoms:
Ce1 0.0000 0.1057 0.0000 [4 per cell]  7 O 2.26-2.43
Ce2 0.0000 0.3014 0.0074 [4 per cell]  7 O 2.32-2.46
Y1 0.0000 0.5000 0.0599 [2 per cell]  6 O 2.23-2.33
O1 0.0000 0.0000 0.7675 [2 per cell]  2 Y 2.23, 2 Ce 2.43
O2 0.0000 0.1965 0.2540 [4 per cell]  4 Ce 2.26-2.46
O3 0.0000 0.2023 0.7552 [4 per cell]  4 Ce 2.32-2.39
O4 0.0000 0.3954 0.2635 [4 per cell]  3 Ce 2.31-2.32, 1 Y 2.33
O5 0.0000 0.4173 0.7588 [4 per cell]  1 Y 2.32, 2 Ce 2.43

Record 3
Compound: Zr3Cu
Source: the Materials Project
Functional: PBE-GGA
Structure: optimized geometry

The formation energy comes out at 0.0329 eV/atom. For the total energy, the calculation gives -29.61 eV per cell. The volume comes out at 80.1 Å³ per cell.

Cell: 4.3115 4.3115 4.3115 Å, 90.00 90.00 90.00°
With the nearest neighbours (Å) after each atom.
Space group Pm-3m (No. 221)
One atom of each set of equivalent atoms:
Zr1 0.0000 0.0000 0.5000 [3 per cell]  8 Zr 3.05, 4 Cu 3.05
Cu1 0.5000 0.5000 0.5000 [1 per cell]  12 Zr 3.05

Record 4
Compound: CeSBr
Source: the Materials Project
Functional: PBE-GGA
Structure: optimized geometry

The formation energy comes out at -2.2721 eV/atom. For the total energy, the calculation gives -139.89 eV per cell. The volume comes out at 686.2 Å³ per cell.

Cell: 6.9544 13.7552 7.1732 Å, 90.00 90.00 90.00°
With the nearest neighbours (Å) after each atom.
Space group Pbca (No. 61)
One atom of each set of equivalent atoms:
Ce1 0.2409 0.0906 0.0325 [8 per cell]  4 S 2.82-2.83, 2 Br 3.06-3.10
S1 0.0010 0.0255 0.7417 [8 per cell]  4 Ce 2.82-2.83
Br1 0.1810 0.7012 0.4018 [8 per cell]  3 Ce 3.06-3.34

Record 5
Compound: In3Ga3N5
Source: the Materials Project
Functional: PBE-GGA
Structure: optimized geometry

The formation energy comes out at -0.0259 eV/atom. For the total energy, the calculation gives -115.00 eV per cell. The volume comes out at 331.0 Å³ per cell.

Cell: 6.0025 6.6148 8.7731 Å, 106.29 96.68 92.52°
With the nearest neighbours (Å) after each atom.
Space group P-1 (No. 2)
One atom of each set of equivalent atoms:
In1 0.1606 0.1311 0.2534 [2 per cell]  1 N 2.48
In2 0.1743 0.3430 0.9243 [2 per cell]  4 N 2.18-2.35
In3 0.3003 0.9263 0.6072 [2 per cell]  4 N 2.20-2.39
Ga1 0.1828 0.4347 0.5878 [2 per cell]  4 N 1.96-2.01
Ga2 0.3617 0.8068 0.9692 [2 per cell]  4 N 1.99-2.04
Ga3 0.3734 0.6198 0.2883 [2 per cell]  4 N 1.96-2.12
N1 0.1526 0.6077 0.4355 [2 per cell]  3 Ga 1.97-2.00
N2 0.1936 0.6814 0.1071 [2 per cell]  2 Ga 1.96-1.99, 1 In 2.19
N3 0.3514 0.0550 0.8833 [2 per cell]  2 Ga 1.99-2.04, 1 In 2.18
N4 0.3677 0.5381 0.7977 [2 per cell]  3 Ga 1.96-2.01
N5 0.3834 0.1995 0.5223 [2 per cell]  2 Ga 2.01-2.12, 1 In 2.20

Record 6
Compound: Zr4FeNi
Source: the Materials Project
Functional: PBE-GGA
Structure: optimized geometry

The formation energy comes out at -0.2135 eV/atom. For the total energy, the calculation gives -99.44 eV per cell. The volume comes out at 223.1 Å³ per cell.

Cell: 6.3715 6.3715 5.4952 Å, 90.00 90.00 90.00°
With the nearest neighbours (Å) after each atom.
Space group I422 (No. 97)
One atom of each set of equivalent atoms:
Zr1 0.1700 0.3300 0.2500 [8 per cell]  2 Fe 2.74, 2 Ni 2.74, 1 Zr 3.06
Fe1 0.0000 0.0000 0.5000 [2 per cell]  8 Zr 2.74, 2 Ni 2.75
Ni1 0.0000 0.0000 0.0000 [2 per cell]  8 Zr 2.74, 2 Fe 2.75

Record 7
Compound: ErSbPd
Source: the Materials Project
Functional: PBE-GGA
Structure: optimized geometry

The formation energy comes out at -1.1161 eV/atom. For the total energy, the calculation gives -68.90 eV per cell. The volume comes out at 283.2 Å³ per cell. The calculation puts the maximum piezoelectric response at 0.3 C/m².

Cell: 6.5668 6.5668 6.5668 Å, 90.00 90.00 90.00°
With the nearest neighbours (Å) after each atom.
Space group F-43m (No. 216)
One atom of each set of equivalent atoms:
Er1 0.0000 0.0000 0.0000 [4 per cell]  4 Pd 2.84
Sb1 0.0000 0.0000 0.5000 [4 per cell]  4 Pd 2.84
Pd1 0.2500 0.2500 0.2500 [4 per cell]  4 Sb 2.84, 4 Er 2.84

Record 8
Compound: TaCrP
Source: the Materials Project
Functional: PBE-GGA
Structure: optimized geometry

The formation energy comes out at -0.6632 eV/atom. For the total energy, the calculation gives -115.66 eV per cell. The volume comes out at 162.4 Å³ per cell.

Cell: 6.2337 3.5327 7.3748 Å, 90.00 90.00 90.00°
With the nearest neighbours (Å) after each atom.
Space group Pnma (No. 62)
One atom of each set of equivalent atoms:
Ta1 0.0312 0.2500 0.1719 [4 per cell]  5 P 2.59-2.69, 4 Cr 2.81-2.87
Cr1 0.1446 0.2500 0.5592 [4 per cell]  4 P 2.33-2.40
P1 0.2304 0.7500 0.3674 [4 per cell]  4 Cr 2.33-2.40, 4 Ta 2.59-2.60

Record 9
Compound: Ba2Ce2O5
Source: the Materials Project
Functional: PBE-GGA
Structure: optimized geometry

The formation energy comes out at -3.3526 eV/atom. For the total energy, the calculation gives -134.37 eV per cell. The volume comes out at 356.4 Å³ per cell.

Cell: 6.2434 12.7500 4.4766 Å, 90.00 90.00 90.00°
With the nearest neighbours (Å) after each atom.
Space group Pbam (No. 55)
One atom of each set of equivalent atoms:
Ba1 0.2472 0.1052 0.0000 [4 per cell]  4 O 2.69-2.79
Ce1 0.2432 0.3624 0.5000 [4 per cell]  5 O 2.21-2.38
O1 0.0000 0.0000 0.5000 [2 per cell]  2 Ce 2.38
O2 0.1002 0.7066 0.5000 [4 per cell]  2 Ce 2.21-2.32
O3 0.1938 0.3961 0.0000 [4 per cell]  2 Ce 2.30

Record 10
Compound: Ca4Si3B5H5O20
Source: the Materials Project
Functional: PBE-GGA
Structure: optimized geometry

The formation energy comes out at -2.8289 eV/atom. For the total energy, the calculation gives -264.55 eV per cell. The volume comes out at 358.1 Å³ per cell.

Cell: 4.8741 7.6578 9.5943 Å, 89.69 89.59 89.71°
With the nearest neighbours (Å) after each atom.
Space group P1 (No. 1)
One atom of each set of equivalent atoms:
Ca1 0.0000 0.0000 0.0000 [1 per cell]  5 O 2.33-2.50
Ca2 0.0072 0.2908 0.5048 [1 per cell]  4 O 2.26-2.46
Ca3 0.9763 0.7778 0.3318 [1 per cell]  6 O 2.33-2.55
Ca4 0.9886 0.5031 0.8353 [1 per cell]  6 O 2.32-2.59
Si1 0.4641 0.6298 0.5824 [1 per cell]  4 O 1.59-1.68
Si2 0.5274 0.1375 0.2540 [1 per cell]  4 O 1.61-1.66
Si3 0.5268 0.1605 0.7548 [1 per cell]  4 O 1.59-1.68
B1 0.4246 0.9847 0.5098 [1 per cell]  4 O 1.48-1.50
B2 0.4278 0.3131 0.0101 [1 per cell]  4 O 1.47-1.51
B3 0.4841 0.6404 0.0756 [1 per cell]  4 O 1.48-1.54
B4 0.5574 0.7978 0.8347 [1 per cell]  4 O 1.46-1.51
B5 0.5629 0.4911 0.3176 [1 per cell]  4 O 1.47-1.51
H1 0.1927 0.4427 0.2350 [1 per cell]  1 O 0.98
H2 0.1967 0.8574 0.7423 [1 per cell]  1 O 0.98
H3 0.4290 0.8638 0.1627 [1 per cell]  1 O 1.00
H4 0.7974 0.9312 0.5940 [1 per cell]  1 O 0.98
H5 0.7993 0.3660 0.0917 [1 per cell]  1 O 0.98
O1 0.2381 0.4920 0.6291 [1 per cell]  1 Si 1.59
O2 0.2492 0.8067 0.8326 [1 per cell]  1 H 0.98
O3 0.2563 0.4825 0.3265 [1 per cell]  1 H 0.98
O4 0.2851 0.7832 0.1274 [1 per cell]  1 H 1.00
O5 0.3033 0.8087 0.5216 [1 per cell]  1 B 1.48
O6 0.3191 0.0636 0.3787 [1 per cell]  1 B 1.49, 1 Si 1.66
O7 0.3187 0.2355 0.8801 [1 per cell]  1 B 1.49
O8 0.3200 0.1974 0.1262 [1 per cell]  1 B 1.51, 1 Si 1.66
O9 0.3208 0.4912 0.0263 [1 per cell]  2 B 1.47-1.48
O10 0.3245 0.0932 0.6276 [1 per cell]  1 B 1.49, 1 Si 1.66
O11 0.6606 0.7176 0.9629 [1 per cell]  2 B 1.46-1.50
O12 0.6618 0.5923 0.1972 [1 per cell]  2 B 1.47-1.50
O13 0.6636 0.6958 0.7111 [1 per cell]  1 B 1.51, 1 Si 1.66
O14 0.6696 0.5674 0.4505 [1 per cell]  1 B 1.50, 1 Si 1.68
O15 0.6744 0.9789 0.8204 [1 per cell]  1 B 1.51, 1 Si 1.68
O16 0.6877 0.3109 0.3126 [1 per cell]  1 B 1.51, 1 Si 1.65
O17 0.7329 0.9782 0.5045 [1 per cell]  1 H 0.98
O18 0.7365 0.3061 0.0074 [1 per cell]  1 H 0.98
O19 0.7375 0.9869 0.2038 [1 per cell]  1 Si 1.61
O20 0.7583 0.2940 0.7060 [1 per cell]  1 Si 1.59

Question: Which formula does entry 8 have?
Answer: TaCrP

Please write out number 4 again, unchanged.
Compound: CeSBr
Source: the Materials Project
Functional: PBE-GGA
Structure: optimized geometry

The formation energy comes out at -2.2721 eV/atom. For the total energy, the calculation gives -139.89 eV per cell. The volume comes out at 686.2 Å³ per cell.

Cell: 6.9544 13.7552 7.1732 Å, 90.00 90.00 90.00°
With the nearest neighbours (Å) after each atom.
Space group Pbca (No. 61)
One atom of each set of equivalent atoms:
Ce1 0.2409 0.0906 0.0325 [8 per cell]  4 S 2.82-2.83, 2 Br 3.06-3.10
S1 0.0010 0.0255 0.7417 [8 per cell]  4 Ce 2.82-2.83
Br1 0.1810 0.7012 0.4018 [8 per cell]  3 Ce 3.06-3.34